# 1
The following is a DFT calculation (r2SCAN) of an optimized crystal structure of La5Sn3Cl.

Cell and atoms, written as extended XYZ:
```
18
Lattice="4.1576 3.0438 8.1529 -9.2897 1.9586 -1.6986 -1.8325 -5.9535 3.1571" Properties=species:S:1:pos:R:3 pbc="T T T"
La -0.3248 2.6821 4.8690
La -5.7235 -0.6564 3.1638
La -1.2411 -0.2947 6.4476
La -4.8073 2.3203 1.5852
La 1.6883 -2.2228 8.3738
La -4.2387 2.1967 5.5440
La 1.2532 2.0712 8.4948
La -4.0601 0.0215 9.2694
La -2.7258 -3.1478 4.0675
La 0.6367 -0.6868 2.9363
Sn -4.5172 -1.4018 6.3202
Sn -6.1469 -0.2889 -0.2508
Sn -7.2017 2.3341 4.0833
Sn -9.0524 -1.3267 3.8295
Sn -4.9753 -3.7059 1.7095
Sn -2.4475 0.4507 3.2911
Cl 3.2414 0.0670 9.7314
Cl 4.1576 3.0438 8.1529
```

## Properties
The magnetization comes out at 1.979 μB per formula unit. As for the space-group type: P6_3/mcm, No. 193. Its energy relative to the elements is -11.0 eV per formula unit. The calculation puts the total energy at -480.18 eV for the cell shown.

# 2
The following is a DFT calculation (r2SCAN) of an optimized crystal structure of ErAlCu.

Cell and atoms, written as extended XYZ:
```
9
Lattice="-0.8048 5.2664 -4.4369 -4.1641 -5.5295 -0.3911 -2.5348 1.7310 2.5145" Properties=species:S:1:pos:R:3 pbc="T T T"
Er -1.6013 3.0505 -0.5836
Er -2.9951 -1.4287 1.0950
Er -4.1747 0.7116 -1.5676
Al -0.6161 4.0319 -3.3968
Al -3.1880 -4.2333 -0.2994
Al -1.1648 -0.0617 -1.1318
Cu -3.0444 -1.9309 -1.7397
Cu -1.9246 1.6678 -3.0883
Cu -1.2674 0.8655 1.2572
```

## Properties
The magnetization comes out at 0.000 μB per formula unit. As for the space-group type: P-62m, No. 189. Its energy relative to the elements is -1.5 eV per formula unit. The calculation puts the total energy at -159.08 eV for the cell shown.

# 3
The following is a DFT calculation (r2SCAN) of an optimized crystal structure of Li6MnO4.

Cell and atoms, written as extended XYZ:
```
44
Lattice="-0.2532 -5.4620 5.8736 7.1207 -3.6601 0.5429 -1.6987 3.6370 6.9484" Properties=species:S:1:pos:R:3 pbc="T T T"
Li 2.2974 -2.2831 2.4062
Li 5.0084 -2.2946 6.1518
Li -0.7569 1.3596 7.4817
Li 3.6528 -2.2889 4.2790
Li 0.1604 -3.1906 7.2130
Li 2.8714 -3.2021 10.9587
Li 1.5161 -3.1962 9.0858
Li 5.9258 -6.8448 5.8831
Li 4.2875 -2.1444 1.1707
Li -0.1223 1.5042 4.3735
Li 4.4923 -0.0817 6.7377
Li 1.7813 -0.0702 2.9920
Li 1.3100 -0.8593 9.0381
Li 5.7197 -4.5078 5.8354
Li 3.2126 -2.4340 7.6553
Li 0.5016 -2.4224 3.9097
Li 4.6671 -3.0630 9.4551
Li 1.9561 -3.0514 5.7095
Li -0.5510 -0.9772 7.5295
Li 3.8587 -4.6258 4.3267
Li 3.3876 -5.4148 10.3730
Li 0.6766 -5.4033 6.6273
Li 5.2911 -6.9895 8.9912
Li 0.8814 -3.3410 12.1940
Mn 5.9549 -4.1135 2.8121
Mn 3.6235 -5.0201 7.3500
Mn 1.5452 -0.4649 6.0148
Mn -0.7862 -1.3715 10.5528
O 3.6927 -1.0111 2.8794
O -0.7170 2.6375 6.0822
O 0.6130 -1.4274 2.2531
O 3.3239 -1.4388 5.9987
O 0.9772 0.5039 7.7030
O 5.3869 -3.1447 4.5003
O 2.3068 -3.5611 3.8741
O 5.0178 -3.5726 7.6197
O 0.1510 -1.9125 5.7451
O 2.8620 -1.9239 9.4907
O 1.8452 -4.0464 7.3661
O 4.5561 -4.0579 11.1118
O -0.2182 -2.3404 8.8646
O 4.1916 -5.9890 5.6618
O 5.8857 -8.1228 7.2829
O 1.4760 -4.4742 10.4856
```

## Properties
The magnetization comes out at 0.000 μB per formula unit. Its energy relative to the elements is -22.3 eV per formula unit. The calculation puts the total energy at -300.86 eV for the cell shown.

# 4
The following is a DFT calculation (r2SCAN) of an optimized crystal structure of Mg2Ru.

Cell and atoms, written as extended XYZ:
```
6
Lattice="3.3668 -4.1927 0.0000 3.3668 4.1927 0.0000 0.0000 0.0000 4.3676" Properties=species:S:1:pos:R:3 pbc="T T T"
Mg 1.8298 -1.2279 3.2757
Mg 1.8298 1.2279 1.0919
Mg 4.9038 1.2279 1.0919
Mg 4.9038 -1.2279 3.2757
Ru 3.3668 -3.5834 3.2757
Ru 3.3668 3.5834 1.0919
```

## Properties
The magnetization comes out at 0.341 μB per formula unit. As for the space-group type: Cmcm, No. 63. Its energy relative to the elements is 0.4 eV per formula unit. The calculation puts the total energy at -66.67 eV for the cell shown.

# 5
The following is a DFT calculation (r2SCAN) of an optimized crystal structure of RuSe2.

Cell and atoms, written as extended XYZ:
```
12
Lattice="5.9716 0.0000 0.0000 0.0000 5.9716 0.0000 0.0000 0.0000 5.9716" Properties=species:S:1:pos:R:3 pbc="T T T"
Ru 0.0000 2.9858 2.9858
Ru 2.9858 2.9858 0.0000
Ru 2.9858 0.0000 2.9858
Ru 0.0000 0.0000 0.0000
Se 2.2727 0.7131 5.2585
Se 0.7131 5.2585 2.2727
Se 5.2585 2.2727 0.7131
Se 3.6989 3.6989 3.6989
Se 2.2727 2.2727 2.2727
Se 0.7131 3.6989 5.2585
Se 5.2585 0.7131 3.6989
Se 3.6989 5.2585 0.7131
```

## Properties
The magnetization comes out at 0.000 μB per formula unit. As for the space-group type: Pa-3, No. 205. Its energy relative to the elements is -1.6 eV per formula unit. The calculation puts the total energy at -222.47 eV for the cell shown.

# 6
The following is a DFT calculation (r2SCAN) of an optimized crystal structure of BaMg2H8Os.

Cell and atoms, written as extended XYZ:
```
24
Lattice="4.9696 0.0000 0.0000 0.0000 4.9696 0.0000 0.0000 0.0000 10.8336" Properties=species:S:1:pos:R:3 pbc="T T T"
Ba 2.4848 0.0000 0.0000
Ba 0.0000 2.4848 5.4168
Mg 2.4848 0.0000 6.9241
Mg 0.0000 2.4848 1.5073
Mg 2.4848 0.0000 3.9095
Mg 0.0000 2.4848 9.3263
H 1.2086 1.2086 8.1252
H 3.7609 3.7609 8.1252
H 3.7609 1.2086 2.7084
H 1.2086 3.7609 2.7084
H 3.7609 3.7609 2.7084
H 1.2086 1.2086 2.7084
H 1.2086 3.7609 8.1252
H 3.7609 1.2086 8.1252
H 2.4848 1.2421 5.4168
H 2.4848 3.7274 5.4168
H 3.7274 2.4848 0.0000
H 1.2421 2.4848 0.0000
H 0.0000 0.0000 6.4338
H 0.0000 0.0000 1.0170
H 0.0000 0.0000 4.3998
H 0.0000 0.0000 9.8166
Os 0.0000 0.0000 8.1252
Os 0.0000 0.0000 2.7084
```

## Properties
The magnetization comes out at 0.000 μB per formula unit. As for the space-group type: P4_2/mmc, No. 131. Its energy relative to the elements is -6.0 eV per formula unit. The calculation puts the total energy at -242.90 eV for the cell shown.

# 7
The following is a DFT calculation (r2SCAN) of an optimized crystal structure of PrSi2Pt2.

Cell and atoms, written as extended XYZ:
```
5
Lattice="-1.8409 3.6241 1.2796 -2.1562 0.2006 -3.6703 -1.6958 -4.5052 3.2239" Properties=species:S:1:pos:R:3 pbc="T T T"
Pr 0.0000 0.0000 0.0000
Si -2.7890 -1.9574 1.5314
Si -2.9038 1.2770 -0.6983
Pt -2.7676 0.5157 1.6540
Pt -2.9252 -1.1961 -0.8209
```

## Properties
The magnetization comes out at 0.000 μB per formula unit. As for the space-group type: I4/mmm, No. 139. Its energy relative to the elements is -5.4 eV per formula unit. The calculation puts the total energy at -155.38 eV for the cell shown.

# 8
The following is a DFT calculation (r2SCAN) of an optimized crystal structure of PmHg3.

Cell and atoms, written as extended XYZ:
```
4
Lattice="0.0000 3.6374 3.6374 3.6374 0.0000 3.6374 3.6374 3.6374 0.0000" Properties=species:S:1:pos:R:3 pbc="T T T"
Pm 5.4561 5.4561 5.4561
Hg 0.0000 0.0000 0.0000
Hg 3.6374 3.6374 3.6374
Hg 1.8187 1.8187 1.8187
```

## Properties
The magnetization comes out at 0.000 μB per formula unit. As for the space-group type: Fm-3m, No. 225. Its energy relative to the elements is -1.7 eV per formula unit. The calculation puts the total energy at -179.38 eV for the cell shown.

# 9
The following is a DFT calculation (r2SCAN) of an optimized crystal structure of Eu2TeO2.

Cell and atoms, written as extended XYZ:
```
5
Lattice="2.9603 5.1084 4.3472 3.1353 6.5355 -1.1020 -5.5623 -4.5742 -1.3766" Properties=species:S:1:pos:R:3 pbc="T T T"
Eu 4.0595 7.7545 2.1612
Eu 2.0362 3.8895 1.0840
Te 0.0000 0.0000 0.0000
O 0.2229 3.1781 2.2966
O 0.3104 3.8917 -0.4280
```

## Properties
The magnetization comes out at 12.374 μB per formula unit. As for the space-group type: I4/mmm, No. 139. Its energy relative to the elements is -13.2 eV per formula unit. The calculation puts the total energy at -127.59 eV for the cell shown.